This record from the Materials Project describes a relaxed structure of Sr2NF. The functional is r2SCAN.

Cell lengths 13.123, 13.123, 7.544 Å; angles 90.00, 90.00, 109.02 degrees
Sites, in units of the cell vectors:
Sr 0.129 0.639 0.750
Sr 0.130 0.870 0.514
Sr 0.130 0.870 0.986
Sr 0.131 0.373 0.018
Sr 0.131 0.373 0.482
Sr 0.138 0.629 0.250
Sr 0.141 0.147 0.250
Sr 0.147 0.141 0.750
Sr 0.361 0.871 0.750
Sr 0.365 0.375 0.250
Sr 0.370 0.630 0.017
Sr 0.370 0.630 0.483
Sr 0.371 0.862 0.250
Sr 0.373 0.131 0.518
Sr 0.373 0.131 0.982
Sr 0.375 0.365 0.750
Sr 0.625 0.635 0.250
Sr 0.627 0.869 0.018
Sr 0.627 0.869 0.482
Sr 0.629 0.138 0.750
Sr 0.630 0.370 0.517
Sr 0.630 0.370 0.983
Sr 0.635 0.625 0.750
Sr 0.639 0.129 0.250
Sr 0.853 0.859 0.250
Sr 0.859 0.853 0.750
Sr 0.862 0.371 0.750
Sr 0.869 0.627 0.518
Sr 0.869 0.627 0.982
Sr 0.870 0.130 0.014
Sr 0.870 0.130 0.486
Sr 0.871 0.361 0.250
N 0.002 0.247 0.250
N 0.247 0.002 0.750
N 0.249 0.751 0.501
N 0.249 0.751 0.999
N 0.252 0.502 0.250
N 0.254 0.254 0.000
N 0.254 0.254 0.500
N 0.498 0.748 0.250
N 0.502 0.252 0.750
N 0.746 0.746 0.000
N 0.746 0.746 0.500
N 0.748 0.498 0.750
N 0.751 0.249 0.001
N 0.751 0.249 0.499
N 0.753 0.998 0.250
N 0.998 0.753 0.750
F 0.000 0.500 0.000
F 0.000 0.500 0.500
F 0.013 0.284 0.750
F 0.051 0.949 0.250
F 0.253 0.503 0.750
F 0.284 0.013 0.250
F 0.497 0.747 0.750
F 0.500 0.000 0.000
F 0.500 0.000 0.500
F 0.500 0.500 0.000
F 0.500 0.500 0.500
F 0.503 0.253 0.250
F 0.716 0.987 0.750
F 0.747 0.497 0.250
F 0.949 0.051 0.750
F 0.987 0.716 0.250

Values from the calculation:
The energy relative to the elements comes out at -2051.2 meV/atom. As for the total energy: -12.688 eV per atom.